Entry 1:
{
  "formula": "CePu3",
  "functional": "PBE",
  "state": "optimized geometry",
  "lattice": [[6.772, 0.009, 0.000], [-3.378, 5.824, 0.000], [0.000, 0.000, 5.212]],
  "species": ["Ce", "Ce", "Pu", "Pu", "Pu", "Pu", "Pu", "Pu"],
  "frac_coords": [[0.334, 0.667, 0.750], [0.667, 0.333, 0.250], [0.164, 0.328, 0.250], [0.672, 0.836, 0.250], [0.164, 0.836, 0.250], [0.836, 0.672, 0.750], [0.328, 0.164, 0.750], [0.836, 0.164, 0.750]],
  "spacegroup": "No. 11",
  "formation_energy_ev_per_atom": 0.20
}


Entry 2:
{
  "formula": "LaTcN3",
  "functional": "PBE",
  "state": "optimized geometry",
  "lattice": [[-1.001, -3.185, 1.214], [4.563, -0.127, 3.428], [-1.718, 3.052, 6.591]],
  "species": ["La", "La", "Tc", "Tc", "N", "N", "N", "N", "N", "N"],
  "frac_coords": [[0.000, 0.323, 0.810], [0.000, 0.677, 0.190], [0.500, 0.178, 0.199], [0.500, 0.822, 0.801], [0.500, 0.205, 0.597], [0.500, 0.795, 0.403], [0.500, 0.253, 0.422], [0.500, 0.500, 0.000], [0.500, 0.747, 0.578], [0.500, 0.000, 0.000]],
  "spacegroup": "No. 10",
  "formation_energy_ev_per_atom": -0.77
}


Entry 3:
{
  "formula": "TaFeRu2",
  "functional": "PBE",
  "state": "optimized geometry",
  "lattice": [[4.121, -1.407, 0.429], [1.579, -0.970, 3.964], [0.788, -4.166, 1.082]],
  "species": ["Ta", "Fe", "Ru", "Ru"],
  "frac_coords": [[0.000, 0.000, 0.000], [0.500, 0.500, 0.500], [0.750, 0.750, 0.750], [0.250, 0.250, 0.250]],
  "spacegroup": "No. 225",
  "formation_energy_ev_per_atom": -0.20
}


Entry 4:
{
  "formula": "SmMg",
  "functional": "PBE",
  "state": "optimized geometry",
  "lattice": [[3.846, 0.000, 0.000], [0.000, 3.846, 0.000], [0.000, 0.000, 3.846]],
  "species": ["Sm", "Mg"],
  "frac_coords": [[0.500, 0.500, 0.500], [0.000, 0.000, 0.000]],
  "spacegroup": "No. 221",
  "formation_energy_ev_per_atom": -0.10
}


Entry 5:
{
  "formula": "Dy2Fe17C3",
  "functional": "PBE",
  "state": "optimized geometry",
  "lattice": [[4.324, -7.489, 0.000], [4.324, 7.489, 0.000], [0.000, 0.000, 8.348]],
  "species": ["Dy", "Dy", "Dy", "Dy", "Fe", "Fe", "Fe", "Fe", "Fe", "Fe", "Fe", "Fe", "Fe", "Fe", "Fe", "Fe", "Fe", "Fe", "Fe", "Fe", "Fe", "Fe", "Fe", "Fe", "Fe", "Fe", "Fe", "Fe", "Fe", "Fe", "Fe", "Fe", "Fe", "Fe", "Fe", "Fe", "Fe", "Fe", "C", "C", "C", "C", "C", "C"],
  "frac_coords": [[0.333, 0.667, 0.250], [0.667, 0.333, 0.750], [0.000, 0.000, 0.250], [0.000, 0.000, 0.750], [0.378, 0.052, 0.250], [0.622, 0.948, 0.750], [0.948, 0.326, 0.250], [0.052, 0.378, 0.750], [0.052, 0.674, 0.750], [0.948, 0.622, 0.250], [0.674, 0.622, 0.250], [0.326, 0.948, 0.750], [0.326, 0.378, 0.750], [0.674, 0.052, 0.250], [0.622, 0.674, 0.750], [0.378, 0.326, 0.250], [0.333, 0.667, 0.608], [0.667, 0.333, 0.392], [0.667, 0.333, 0.108], [0.333, 0.667, 0.892], [0.168, 0.337, 0.020], [0.832, 0.663, 0.980], [0.663, 0.832, 0.020], [0.832, 0.663, 0.520], [0.337, 0.168, 0.980], [0.168, 0.337, 0.480], [0.168, 0.832, 0.020], [0.337, 0.168, 0.520], [0.832, 0.168, 0.980], [0.663, 0.832, 0.480], [0.832, 0.168, 0.520], [0.168, 0.832, 0.480], [0.500, 0.000, 0.000], [0.000, 0.500, 0.000], [0.500, 0.000, 0.500], [0.500, 0.500, 0.000], [0.000, 0.500, 0.500], [0.500, 0.500, 0.500], [0.166, 0.331, 0.250], [0.834, 0.669, 0.750], [0.669, 0.834, 0.250], [0.331, 0.166, 0.750], [0.166, 0.834, 0.250], [0.834, 0.166, 0.750]],
  "spacegroup": "No. 194",
  "formation_energy_ev_per_atom": -0.08
}


Entry 6:
{
  "formula": "DyOs2",
  "functional": "PBE",
  "state": "optimized geometry",
  "lattice": [[2.667, -4.619, 0.000], [2.667, 4.619, 0.000], [0.000, 0.000, 8.827]],
  "species": ["Dy", "Dy", "Dy", "Dy", "Os", "Os", "Os", "Os", "Os", "Os", "Os", "Os"],
  "frac_coords": [[0.333, 0.667, 0.435], [0.667, 0.333, 0.565], [0.667, 0.333, 0.935], [0.333, 0.667, 0.065], [0.000, 0.000, 0.500], [0.000, 0.000, 0.000], [0.827, 0.173, 0.250], [0.827, 0.655, 0.250], [0.345, 0.173, 0.250], [0.173, 0.827, 0.750], [0.173, 0.345, 0.750], [0.655, 0.827, 0.750]],
  "spacegroup": "No. 194",
  "formation_energy_ev_per_atom": -0.31
}


Entry 7:
{
  "formula": "ErSnRu2",
  "functional": "PBE",
  "state": "optimized geometry",
  "lattice": [[0.000, 3.292, 3.292], [3.292, 0.000, 3.292], [3.292, 3.292, 0.000]],
  "species": ["Er", "Sn", "Ru", "Ru"],
  "frac_coords": [[0.500, 0.500, 0.500], [0.000, 0.000, 0.000], [0.250, 0.250, 0.250], [0.750, 0.750, 0.750]],
  "spacegroup": "No. 225",
  "formation_energy_ev_per_atom": -0.39
}


Entry 8:
{
  "formula": "H8PtO6",
  "functional": "PBE",
  "state": "optimized geometry",
  "lattice": [[5.561, 0.000, 0.000], [0.851, 5.615, 0.000], [0.622, 0.007, 7.318]],
  "species": ["H", "H", "H", "H", "H", "H", "H", "H", "H", "H", "H", "H", "H", "H", "H", "H", "Pt", "Pt", "O", "O", "O", "O", "O", "O", "O", "O", "O", "O", "O", "O"],
  "frac_coords": [[0.611, 0.887, 0.845], [0.474, 0.167, 0.841], [0.136, 0.381, 0.643], [0.892, 0.259, 0.744], [0.247, 0.911, 0.251], [0.530, 0.829, 0.151], [0.150, 0.478, 0.334], [0.868, 0.622, 0.351], [0.538, 0.560, 0.002], [0.437, 0.455, 0.513], [0.378, 0.231, 0.086], [0.754, 0.606, 0.592], [0.029, 0.946, 0.984], [0.164, 0.848, 0.713], [0.854, 0.175, 0.212], [0.947, 0.027, 0.485], [0.499, 0.998, 0.505], [0.000, 0.501, 0.005], [0.594, 0.035, 0.764], [0.962, 0.410, 0.741], [0.409, 0.965, 0.242], [0.038, 0.596, 0.265], [0.649, 0.683, 0.016], [0.315, 0.341, 0.512], [0.353, 0.341, 0.981], [0.665, 0.655, 0.484], [0.134, 0.802, 0.924], [0.181, 0.876, 0.575], [0.877, 0.191, 0.074], [0.810, 0.130, 0.426]],
  "polymorph_energy_mev_per_atom": 21,
  "spacegroup": "No. 1",
  "formation_energy_ev_per_atom": -1.14,
  "piezo_max_c_m2": 8.75
}


Entry 9:
{
  "formula": "Ba2CdSe3",
  "functional": "PBE",
  "state": "optimized geometry",
  "lattice": [[-2.327, 3.918, -0.118], [-1.638, -0.694, 9.246], [15.317, 9.200, 3.404]],
  "species": ["Ba", "Ba", "Ba", "Ba", "Ba", "Ba", "Ba", "Ba", "Cd", "Cd", "Cd", "Cd", "Se", "Se", "Se", "Se", "Se", "Se", "Se", "Se", "Se", "Se", "Se", "Se"],
  "frac_coords": [[0.250, 0.760, 0.960], [0.750, 0.740, 0.460], [0.250, 0.260, 0.540], [0.750, 0.240, 0.040], [0.250, 0.422, 0.284], [0.750, 0.578, 0.716], [0.250, 0.922, 0.216], [0.750, 0.078, 0.784], [0.750, 0.124, 0.367], [0.750, 0.624, 0.133], [0.250, 0.876, 0.633], [0.250, 0.376, 0.867], [0.250, 0.985, 0.404], [0.750, 0.015, 0.596], [0.250, 0.485, 0.096], [0.750, 0.515, 0.904], [0.250, 0.118, 0.928], [0.750, 0.882, 0.072], [0.250, 0.618, 0.572], [0.750, 0.186, 0.223], [0.250, 0.314, 0.723], [0.750, 0.686, 0.277], [0.250, 0.814, 0.777], [0.750, 0.382, 0.428]],
  "spacegroup": "No. 62",
  "formation_energy_ev_per_atom": -1.81
}


Entry 10:
{
  "formula": "Pr6Ti2S7O6",
  "functional": "PBE",
  "state": "optimized geometry",
  "lattice": [[-0.803, 2.405, -3.006], [-10.341, -6.019, -2.054], [-9.886, 9.081, 9.903]],
  "species": ["Pr", "Pr", "Pr", "Pr", "Pr", "Pr", "Pr", "Pr", "Pr", "Pr", "Pr", "Pr", "Ti", "Ti", "Ti", "Ti", "S", "S", "S", "S", "S", "S", "S", "S", "S", "S", "S", "S", "S", "S", "O", "O", "O", "O", "O", "O", "O", "O", "O", "O", "O", "O"],
  "frac_coords": [[0.750, 0.406, 0.119], [0.250, 0.936, 0.892], [0.250, 0.594, 0.881], [0.250, 0.281, 0.877], [0.750, 0.024, 0.376], [0.250, 0.526, 0.291], [0.250, 0.322, 0.527], [0.750, 0.719, 0.123], [0.750, 0.678, 0.473], [0.750, 0.064, 0.108], [0.750, 0.474, 0.709], [0.250, 0.976, 0.624], [0.250, 0.222, 0.236], [0.750, 0.203, 0.687], [0.250, 0.797, 0.313], [0.750, 0.778, 0.764], [0.250, 0.203, 0.374], [0.750, 0.448, 0.420], [0.750, 0.116, 0.537], [0.250, 0.003, 0.245], [0.250, 0.552, 0.580], [0.750, 0.099, 0.932], [0.250, 0.579, 0.059], [0.250, 0.901, 0.068], [0.750, 0.766, 0.929], [0.750, 0.797, 0.626], [0.750, 0.997, 0.755], [0.250, 0.884, 0.463], [0.750, 0.421, 0.941], [0.250, 0.234, 0.071], [0.250, 0.181, 0.671], [0.750, 0.628, 0.789], [0.250, 0.794, 0.783], [0.250, 0.452, 0.786], [0.750, 0.333, 0.614], [0.750, 0.548, 0.214], [0.250, 0.667, 0.386], [0.750, 0.273, 0.777], [0.250, 0.727, 0.223], [0.250, 0.372, 0.211], [0.750, 0.819, 0.329], [0.750, 0.206, 0.217]],
  "spacegroup": "No. 11",
  "formation_energy_ev_per_atom": -2.95
}


Entry 11:
{
  "formula": "Mg16NpAl12",
  "functional": "PBE",
  "state": "optimized geometry",
  "lattice": [[4.311, -2.141, 7.714], [-3.397, 8.409, 0.660], [-6.770, -5.900, -1.427]],
  "species": ["Mg", "Mg", "Mg", "Mg", "Mg", "Mg", "Mg", "Mg", "Mg", "Mg", "Mg", "Mg", "Mg", "Mg", "Mg", "Mg", "Np", "Al", "Al", "Al", "Al", "Al", "Al", "Al", "Al", "Al", "Al", "Al", "Al"],
  "frac_coords": [[0.356, 0.000, 0.000], [0.000, 0.356, 0.000], [0.605, 0.322, 0.000], [0.322, 0.605, 0.000], [0.395, 0.395, 0.717], [0.678, 0.283, 0.678], [0.283, 0.678, 0.678], [0.644, 0.644, 0.644], [0.000, 0.322, 0.605], [0.322, 0.000, 0.605], [0.717, 0.395, 0.395], [0.395, 0.717, 0.395], [0.000, 0.000, 0.356], [0.605, 0.000, 0.322], [0.000, 0.605, 0.322], [0.678, 0.678, 0.283], [0.000, 0.000, 0.000], [0.637, 0.816, 0.000], [0.816, 0.637, 0.000], [0.184, 0.184, 0.821], [0.000, 0.637, 0.816], [0.637, 0.000, 0.816], [0.816, 0.000, 0.637], [0.000, 0.816, 0.637], [0.363, 0.179, 0.363], [0.179, 0.363, 0.363], [0.821, 0.184, 0.184], [0.184, 0.821, 0.184], [0.363, 0.363, 0.179]],
  "spacegroup": "No. 217",
  "formation_energy_ev_per_atom": 0.01
}


Entry 12:
{
  "formula": "ScTi9N9",
  "functional": "PBE",
  "state": "optimized geometry",
  "lattice": [[5.228, 0.000, 0.000], [1.745, 5.786, 0.000], [1.750, 1.041, 6.456]],
  "species": ["Sc", "Ti", "Ti", "Ti", "Ti", "Ti", "Ti", "Ti", "Ti", "Ti", "N", "N", "N", "N", "N", "N", "N", "N", "N"],
  "frac_coords": [[0.500, 0.000, 0.000], [0.892, 0.604, 0.190], [0.104, 0.898, 0.793], [0.896, 0.102, 0.207], [0.108, 0.396, 0.810], [0.315, 0.703, 0.399], [0.308, 0.192, 0.394], [0.685, 0.297, 0.601], [0.500, 0.500, 0.000], [0.692, 0.808, 0.606], [0.806, 0.693, 0.898], [0.806, 0.206, 0.896], [0.194, 0.794, 0.104], [0.000, 0.000, 0.500], [0.398, 0.102, 0.694], [0.194, 0.307, 0.102], [0.597, 0.401, 0.301], [0.403, 0.599, 0.699], [0.602, 0.898, 0.306]],
  "spacegroup": "No. 2",
  "formation_energy_ev_per_atom": -1.86
}